Model w:
First-principles (PBE) data for crystalline Ho2Se3O12 at its relaxed geometry, as listed in the Materials Project.

Properties
SG: R-3c (167)

a b c (Å): 9.917 9.917 9.917
angles (deg): 58.07 58.07 58.07
Sites, in units of the cell vectors:
Ho (0.856, 0.856, 0.856)
O (0.489, 0.726, 0.870)
O (0.789, 0.564, 0.419)
Se (0.538, 0.250, 0.962)
O (0.774, 0.011, 0.630)
O (0.630, 0.774, 0.011)
O (0.989, 0.370, 0.226)
Ho (0.644, 0.644, 0.644)
O (0.419, 0.789, 0.564)
Ho (0.356, 0.356, 0.356)
O (0.289, 0.919, 0.064)
O (0.564, 0.419, 0.789)
O (0.511, 0.274, 0.130)
Se (0.750, 0.038, 0.462)
O (0.274, 0.130, 0.511)
O (0.726, 0.870, 0.489)
O (0.130, 0.511, 0.274)
O (0.919, 0.064, 0.289)
Se (0.462, 0.750, 0.038)
O (0.936, 0.711, 0.081)
Se (0.250, 0.962, 0.538)
O (0.711, 0.081, 0.936)
O (0.870, 0.489, 0.726)
O (0.581, 0.211, 0.436)
Se (0.038, 0.462, 0.750)
O (0.226, 0.989, 0.370)
O (0.011, 0.630, 0.774)
Se (0.962, 0.538, 0.250)
Ho (0.144, 0.144, 0.144)
O (0.081, 0.936, 0.711)
O (0.370, 0.226, 0.989)
O (0.064, 0.289, 0.919)
O (0.436, 0.581, 0.211)
O (0.211, 0.436, 0.581)

Model x:
First-principles (PBE) data for crystalline Ho2Se3O12 at its relaxed geometry, as listed in the Materials Project.

Properties
SG: C2/c (15)

a b c (Å): 6.796 6.796 11.305
angles (deg): 80.63 80.63 117.07
Sites, in units of the cell vectors:
O (0.889, 0.789, 0.458)
O (0.576, 0.470, 0.106)
Se (0.880, 0.120, 0.250)
O (0.874, 0.786, 0.712)
O (0.972, 0.587, 0.289)
O (0.111, 0.211, 0.542)
Se (0.786, 0.528, 0.425)
Ho (0.292, 0.042, 0.405)
O (0.413, 0.028, 0.211)
O (0.424, 0.530, 0.894)
O (0.337, 0.767, 0.044)
O (0.028, 0.413, 0.711)
Ho (0.708, 0.958, 0.595)
O (0.126, 0.214, 0.288)
O (0.080, 0.679, 0.878)
Ho (0.042, 0.292, 0.905)
Se (0.472, 0.214, 0.075)
Se (0.120, 0.880, 0.750)
O (0.321, 0.920, 0.622)
O (0.920, 0.321, 0.122)
O (0.767, 0.337, 0.544)
O (0.214, 0.126, 0.788)
Se (0.214, 0.472, 0.575)
O (0.587, 0.972, 0.789)
O (0.233, 0.663, 0.456)
O (0.679, 0.080, 0.378)
O (0.530, 0.424, 0.394)
O (0.786, 0.874, 0.212)
Ho (0.958, 0.708, 0.095)
Se (0.528, 0.786, 0.925)
O (0.470, 0.576, 0.606)
O (0.211, 0.111, 0.042)
O (0.663, 0.233, 0.956)
O (0.789, 0.889, 0.958)

Short version: model x is the least stable of them.

Model w:
First-principles (PBE) data for crystalline HoTa3O9 at its relaxed geometry, as listed in the Materials Project.

Properties
SG: Pnma (62)

a b c (Å): 6.464 7.633 12.586
angles (deg): 90.00 90.00 90.00
Sites, in units of the cell vectors:
Ho (0.556, 0.250, 0.037)
O (0.984, 0.543, 0.157)
O (0.603, 0.037, 0.168)
Ho (0.444, 0.750, 0.963)
Ta (0.795, 0.997, 0.287)
O (0.897, 0.537, 0.668)
O (0.665, 0.250, 0.830)
O (0.897, 0.963, 0.668)
O (0.397, 0.537, 0.832)
O (0.080, 0.750, 0.975)
O (0.103, 0.037, 0.332)
O (0.016, 0.043, 0.843)
Ta (0.500, 0.500, 0.500)
O (0.795, 0.036, 0.463)
O (0.705, 0.536, 0.963)
O (0.484, 0.957, 0.343)
O (0.204, 0.750, 0.696)
O (0.705, 0.964, 0.963)
O (0.296, 0.250, 0.196)
O (0.165, 0.250, 0.670)
O (0.704, 0.750, 0.804)
O (0.795, 0.464, 0.463)
O (0.603, 0.463, 0.168)
O (0.103, 0.463, 0.332)
Ho (0.944, 0.750, 0.537)
O (0.295, 0.464, 0.037)
O (0.516, 0.043, 0.657)
O (0.016, 0.457, 0.843)
Ta (0.795, 0.503, 0.287)
Ta (0.000, 0.000, 0.000)
Ta (0.705, 0.497, 0.787)
O (0.420, 0.250, 0.475)
O (0.835, 0.750, 0.330)
O (0.580, 0.750, 0.525)
O (0.397, 0.963, 0.832)
O (0.984, 0.957, 0.157)
Ta (0.000, 0.500, 0.000)
O (0.920, 0.250, 0.025)
O (0.295, 0.036, 0.037)
O (0.335, 0.750, 0.170)
O (0.796, 0.250, 0.304)
O (0.484, 0.543, 0.343)
Ta (0.205, 0.003, 0.713)
Ta (0.295, 0.997, 0.213)
Ta (0.295, 0.503, 0.213)
Ho (0.056, 0.250, 0.463)
Ta (0.705, 0.003, 0.787)
O (0.516, 0.457, 0.657)
O (0.205, 0.964, 0.537)
O (0.205, 0.536, 0.537)
Ta (0.500, 0.000, 0.500)
Ta (0.205, 0.497, 0.713)

Model x:
First-principles (PBE) data for crystalline HoTa3O9 at its relaxed geometry, as listed in the Materials Project.

Properties
SG: P2_1/m (11)

a b c (Å): 7.526 5.287 8.326
angles (deg): 87.34 90.00 90.00
Sites, in units of the cell vectors:
O (0.750, 0.335, 0.346)
O (0.457, 0.257, 0.532)
Ta (0.494, 0.531, 0.695)
O (0.435, 0.147, 0.216)
O (0.948, 0.673, 0.121)
O (0.935, 0.853, 0.784)
Ta (0.000, 0.000, 0.000)
O (0.250, 0.581, 0.316)
O (0.250, 0.907, 0.978)
O (0.052, 0.327, 0.879)
O (0.250, 0.665, 0.654)
Ta (0.006, 0.531, 0.695)
O (0.065, 0.147, 0.216)
O (0.543, 0.743, 0.468)
O (0.750, 0.093, 0.022)
Ta (0.500, 0.000, 0.000)
Ho (0.750, 0.036, 0.565)
Ta (0.994, 0.469, 0.305)
O (0.552, 0.673, 0.121)
O (0.043, 0.257, 0.532)
Ta (0.506, 0.469, 0.305)
O (0.957, 0.743, 0.468)
O (0.448, 0.327, 0.879)
O (0.565, 0.853, 0.784)
Ho (0.250, 0.964, 0.435)
O (0.750, 0.419, 0.684)

Short version: model w is the least stable of them.

Model w:
First-principles (PBE) data for crystalline Ho10Ti6O27 at its relaxed geometry, as listed in the Materials Project.

Properties
SG: Cm (8)

a b c (Å): 7.445 7.445 12.158
angles (deg): 71.15 71.15 61.42
Sites, in units of the cell vectors:
O (0.229, 0.615, 0.456)
O (0.615, 0.229, 0.456)
Ho (0.989, 0.518, 0.018)
O (0.452, 0.452, 0.161)
O (0.276, 0.871, 0.552)
Ho (0.266, 0.751, 0.751)
O (0.907, 0.233, 0.065)
Ho (0.004, 0.004, 0.479)
O (0.063, 0.063, 0.832)
O (0.650, 0.650, 0.971)
Ho (0.518, 0.989, 0.018)
O (0.581, 0.581, 0.306)
O (0.665, 0.665, 0.466)
O (0.006, 0.638, 0.315)
O (0.583, 0.053, 0.815)
Ti (0.739, 0.739, 0.282)
Ho (0.260, 0.260, 0.749)
Ho (0.746, 0.746, 0.754)
O (0.434, 0.986, 0.660)
O (0.216, 0.681, 0.953)
Ti (0.985, 0.491, 0.500)
O (0.824, 0.824, 0.549)
O (0.444, 0.444, 0.656)
O (0.826, 0.826, 0.100)
Ho (0.751, 0.266, 0.751)
Ho (0.721, 0.279, 0.247)
O (0.245, 0.245, 0.438)
O (0.233, 0.907, 0.065)
Ti (0.998, 0.998, 0.004)
Ho (0.279, 0.721, 0.247)
O (0.681, 0.216, 0.953)
Ho (0.267, 0.267, 0.243)
O (0.053, 0.583, 0.815)
Ti (0.491, 0.491, 0.984)
O (0.986, 0.434, 0.660)
O (0.638, 0.006, 0.315)
Ti (0.498, 0.498, 0.489)
O (0.566, 0.566, 0.800)
O (0.956, 0.380, 0.230)
Ti (0.491, 0.985, 0.500)
O (0.380, 0.956, 0.230)
O (0.305, 0.305, 0.044)
O (0.871, 0.276, 0.552)

Model x:
First-principles (PBE) data for crystalline Ho10Ti6O27 at its relaxed geometry, as listed in the Materials Project.

Properties
SG: Cm (8)

a b c (Å): 7.399 7.399 12.499
angles (deg): 72.14 72.14 58.69
Sites, in units of the cell vectors:
Ho (0.772, 0.279, 0.732)
Ti (0.519, 0.007, 0.494)
O (0.431, 0.431, 0.690)
Ti (0.007, 0.519, 0.494)
O (0.279, 0.835, 0.064)
O (0.609, 0.027, 0.316)
Ho (0.258, 0.258, 0.274)
Ti (0.495, 0.020, 0.005)
O (0.065, 0.065, 0.811)
O (0.144, 0.679, 0.478)
O (0.997, 0.422, 0.166)
Ho (0.259, 0.749, 0.253)
O (0.679, 0.144, 0.478)
Ti (0.748, 0.748, 0.756)
Ho (0.749, 0.259, 0.253)
Ti (0.020, 0.495, 0.005)
O (0.835, 0.279, 0.064)
O (0.973, 0.466, 0.660)
O (0.422, 0.997, 0.166)
O (0.238, 0.238, 0.952)
O (0.436, 0.436, 0.186)
O (0.921, 0.557, 0.863)
O (0.586, 0.586, 0.796)
O (0.059, 0.059, 0.341)
Ho (0.250, 0.250, 0.768)
O (0.466, 0.973, 0.660)
O (0.027, 0.609, 0.316)
O (0.557, 0.921, 0.863)
O (0.696, 0.696, 0.497)
O (0.267, 0.267, 0.455)
Ho (0.982, 0.982, 0.990)
Ti (0.001, 0.001, 0.506)
Ho (0.745, 0.745, 0.235)
O (0.628, 0.198, 0.943)
O (0.284, 0.880, 0.538)
O (0.880, 0.284, 0.538)
O (0.790, 0.790, 0.043)
Ho (0.279, 0.772, 0.732)
Ho (0.516, 0.516, 0.503)
O (0.907, 0.907, 0.675)
Ho (0.519, 0.519, 0.996)
O (0.198, 0.628, 0.943)
O (0.569, 0.569, 0.316)

Short version: model w is the least stable of them.

Model w:
First-principles (PBE) data for crystalline Ho4Zr3O12 at its relaxed geometry, as listed in the Materials Project.

Properties
SG: P-1 (2)

a b c (Å): 6.365 6.404 6.577
angles (deg): 99.86 98.53 99.58
Sites, in units of the cell vectors:
Zr (0.151, 0.603, 0.328)
Zr (0.849, 0.397, 0.672)
O (0.414, 0.581, 0.179)
O (0.173, 0.429, 0.573)
O (0.587, 0.187, 0.433)
O (0.685, 0.931, 0.061)
O (0.827, 0.571, 0.427)
Ho (0.305, 0.135, 0.609)
O (0.586, 0.419, 0.821)
Zr (0.000, 0.000, 0.000)
O (0.031, 0.678, 0.888)
O (0.920, 0.084, 0.693)
O (0.969, 0.322, 0.112)
O (0.315, 0.069, 0.939)
O (0.413, 0.813, 0.567)
Ho (0.695, 0.865, 0.391)
Ho (0.389, 0.699, 0.865)
Ho (0.611, 0.301, 0.135)
O (0.080, 0.916, 0.307)

Model x:
First-principles (PBE) data for crystalline Ho4Zr3O12 at its relaxed geometry, as listed in the Materials Project.

Properties
SG: P-1 (2)

a b c (Å): 6.405 6.458 12.874
angles (deg): 99.14 99.42 99.30
Sites, in units of the cell vectors:
O (0.568, 0.830, 0.463)
O (0.923, 0.682, 0.278)
O (0.924, 0.080, 0.406)
Ho (0.140, 0.308, 0.553)
Ho (0.299, 0.610, 0.319)
O (0.815, 0.408, 0.531)
O (0.318, 0.961, 0.297)
O (0.589, 0.819, 0.963)
O (0.037, 0.894, 0.089)
O (0.682, 0.039, 0.703)
Ho (0.860, 0.692, 0.447)
O (0.407, 0.566, 0.158)
Ho (0.701, 0.390, 0.681)
O (0.077, 0.307, 0.209)
O (0.432, 0.170, 0.537)
O (0.574, 0.416, 0.341)
O (0.185, 0.592, 0.469)
Ho (0.611, 0.137, 0.903)
O (0.320, 0.944, 0.789)
Ho (0.312, 0.610, 0.819)
O (0.077, 0.318, 0.722)
Zr (0.392, 0.856, 0.593)
O (0.826, 0.425, 0.034)
Zr (0.145, 0.323, 0.054)
O (0.426, 0.584, 0.659)
Zr (0.608, 0.144, 0.407)
Zr (0.855, 0.677, 0.946)
O (0.680, 0.056, 0.211)
Ho (0.389, 0.863, 0.097)
Ho (0.688, 0.390, 0.181)
Zr (0.008, 0.007, 0.753)
O (0.076, 0.920, 0.594)
O (0.174, 0.575, 0.966)
O (0.923, 0.693, 0.791)
O (0.963, 0.106, 0.911)
Zr (0.992, 0.993, 0.247)
O (0.593, 0.434, 0.842)
O (0.411, 0.181, 0.037)

Short version: model x is the least stable of them.